Computed, not measured: AlV12Sn3 after structural relaxation at the PBE level of DFT.

## Properties
The final energy comes out at -7.879 eV/atom. The value obtained for the calculated formation energy is -8 kJ per mole of atoms.

Cell lengths 4.9335, 4.9429, 9.8032 Å; angles 90.00, 90.00, 90.00 degrees
Last column: nearest neighbours and their distance in Å.
Element x y z (fractional)
V (0.7444, 0.5000, 0.2587)  2 V 2.41-2.52, 1 Al 2.65
V (0.2556, 0.5000, 0.7413)  2 V 2.41-2.52, 1 Al 2.65
V (0.0000, 0.2699, 0.5000)  1 V 2.28
V (0.5000, 0.0000, 0.8745)  2 V 2.46-2.54, 2 Sn 2.76
V (0.0000, 0.7505, 0.0000)  2 V 2.47-2.48, 4 Sn 2.75-2.76
V (0.5000, 0.0000, 0.1255)  2 V 2.46-2.54, 2 Sn 2.76
V (0.2556, 0.5000, 0.2587)  2 V 2.41-2.52, 1 Al 2.65
V (0.5000, 0.0000, 0.3844)  1 V 2.27
V (0.7444, 0.5000, 0.7413)  2 V 2.41-2.52, 1 Al 2.65
V (0.0000, 0.7301, 0.5000)  1 V 2.28
V (0.5000, 0.0000, 0.6156)  1 V 2.27
V (0.0000, 0.2495, 0.0000)  2 V 2.47-2.48, 4 Sn 2.75-2.76
Sn (0.5000, 0.5000, 0.0000)  12 V 2.76-2.81
Sn (0.0000, 0.0000, 0.7493)  12 V 2.75-2.79
Sn (0.0000, 0.0000, 0.2507)  12 V 2.75-2.79
Al (0.5000, 0.5000, 0.5000)  12 V 2.65-2.72